A plane-wave DFT calculation with PBE+U was carried out for a relaxed SrCaTiMnO5 crystal.

Computed properties:
**V**: 1969 Å³/cell
**Energy of formation**: -298.6 kJ/mol of atoms
**Electronic total energy**: -7.58 eV/atom

a b c (Å): 11.1243 11.3523 17.4896
angles (deg): 108.92 108.42 90.01
Space group P1 (No. 1)
Unique sites:
Sr 0.0000 0.0000 0.0000 [1 per cell]
Sr 0.0001 0.4984 0.9999 [1 per cell]
Sr 0.0037 0.0009 0.5070 [1 per cell]
Sr 0.1144 0.0996 0.2292 [1 per cell]
Sr 0.1150 0.6015 0.2321 [1 per cell]
Sr 0.2504 0.7344 0.0000 [1 per cell]
Sr 0.2534 0.2376 0.5056 [1 per cell]
Sr 0.3646 0.3631 0.2304 [1 per cell]
Sr 0.3652 0.8640 0.2313 [1 per cell]
Sr 0.5005 0.4984 0.0001 [1 per cell]
Sr 0.5023 0.5029 0.5068 [1 per cell]
Sr 0.6162 0.6016 0.2323 [1 per cell]
Sr 0.7498 0.7344 0.0000 [1 per cell]
Sr 0.7511 0.2369 0.5039 [1 per cell]
Sr 0.8632 0.8649 0.2303 [1 per cell]
Sr 0.8641 0.3621 0.2313 [1 per cell]
Ca 0.0075 0.5081 0.5098 [1 per cell]
Ca 0.1175 0.5921 0.7278 [1 per cell]
Ca 0.1220 0.0956 0.7313 [1 per cell]
Ca 0.2568 0.2302 0.0029 [1 per cell]
Ca 0.2587 0.7358 0.5101 [1 per cell]
Ca 0.3686 0.3683 0.7280 [1 per cell]
Ca 0.3700 0.8684 0.7301 [1 per cell]
Ca 0.5031 0.0062 0.0029 [1 per cell]
Ca 0.5087 0.0067 0.5101 [1 per cell]
Ca 0.6147 0.0938 0.2261 [1 per cell]
Ca 0.6188 0.5924 0.7275 [1 per cell]
Ca 0.6210 0.0954 0.7313 [1 per cell]
Ca 0.7552 0.2312 0.0032 [1 per cell]
Ca 0.7595 0.7340 0.5087 [1 per cell]
Ca 0.8681 0.3674 0.7266 [1 per cell]
Ca 0.8683 0.8666 0.7274 [1 per cell]
Ti 0.0572 0.2995 0.1142 [1 per cell]
Ti 0.0588 0.7988 0.1157 [1 per cell]
Ti 0.0607 0.3019 0.6205 [1 per cell]
Ti 0.0606 0.8015 0.6209 [1 per cell]
Ti 0.3082 0.5479 0.1148 [1 per cell]
Ti 0.3094 0.5538 0.6217 [1 per cell]
Ti 0.3100 0.0497 0.1154 [1 per cell]
Ti 0.3118 0.0503 0.6201 [1 per cell]
Ti 0.5573 0.7999 0.1145 [1 per cell]
Ti 0.5578 0.2982 0.1154 [1 per cell]
Ti 0.5591 0.8031 0.6193 [1 per cell]
Ti 0.5617 0.3004 0.6220 [1 per cell]
Ti 0.8048 0.0503 0.1152 [1 per cell]
Ti 0.8084 0.5474 0.1149 [1 per cell]
Ti 0.8094 0.0502 0.6202 [1 per cell]
Ti 0.8111 0.5526 0.6203 [1 per cell]
Mn 0.1945 0.4000 0.3699 [1 per cell]
Mn 0.1991 0.3875 0.8630 [1 per cell]
Mn 0.2021 0.8965 0.8634 [1 per cell]
Mn 0.2046 0.8955 0.3732 [1 per cell]
Mn 0.4483 0.7082 0.8632 [1 per cell]
Mn 0.4501 0.1996 0.8642 [1 per cell]
Mn 0.4512 0.2009 0.3679 [1 per cell]
Mn 0.4511 0.7098 0.3732 [1 per cell]
Mn 0.6939 0.8950 0.8618 [1 per cell]
Mn 0.6958 0.8958 0.3706 [1 per cell]
Mn 0.6993 0.3877 0.8634 [1 per cell]
Mn 0.7007 0.3977 0.3691 [1 per cell]
Mn 0.9442 0.2097 0.3706 [1 per cell]
Mn 0.9474 0.7047 0.8611 [1 per cell]
Mn 0.9492 0.2019 0.8629 [1 per cell]
Mn 0.9506 0.7022 0.3718 [1 per cell]
O 0.0968 0.3953 0.7437 [1 per cell]
O 0.1003 0.8991 0.7430 [1 per cell]
O 0.1073 0.3835 0.2409 [1 per cell]
O 0.1115 0.8806 0.2438 [1 per cell]
O 0.1262 0.2296 0.3677 [1 per cell]
O 0.1318 0.7229 0.8574 [1 per cell]
O 0.1397 0.2157 0.8667 [1 per cell]
O 0.1403 0.7269 0.3780 [1 per cell]
O 0.1672 0.4190 0.6070 [1 per cell]
O 0.1707 0.9122 0.6056 [1 per cell]
O 0.1720 0.4160 0.1048 [1 per cell]
O 0.1722 0.9168 0.1062 [1 per cell]
O 0.1797 0.1815 0.1222 [1 per cell]
O 0.1805 0.6799 0.1238 [1 per cell]
O 0.1821 0.6863 0.6357 [1 per cell]
O 0.1852 0.1892 0.6369 [1 per cell]
O 0.2273 0.5212 0.4959 [1 per cell]
O 0.2303 0.0172 0.4959 [1 per cell]
O 0.2339 0.0136 0.9895 [1 per cell]
O 0.2352 0.5074 0.9891 [1 per cell]
O 0.3465 0.5813 0.7441 [1 per cell]
O 0.3494 0.0769 0.7429 [1 per cell]
O 0.3560 0.0904 0.2407 [1 per cell]
O 0.3606 0.5946 0.2432 [1 per cell]
O 0.3780 0.3684 0.3696 [1 per cell]
O 0.3823 0.3679 0.8572 [1 per cell]
O 0.3913 0.8838 0.8660 [1 per cell]
O 0.3930 0.8850 0.3771 [1 per cell]
O 0.4177 0.9221 0.6041 [1 per cell]
O 0.4193 0.4184 0.1049 [1 per cell]
O 0.4194 0.4242 0.6084 [1 per cell]
O 0.4224 0.9230 0.1039 [1 per cell]
O 0.4318 0.6767 0.1249 [1 per cell]
O 0.4320 0.6823 0.6361 [1 per cell]
O 0.4335 0.1765 0.1274 [1 per cell]
O 0.4355 0.1796 0.6357 [1 per cell]
O 0.4713 0.7119 0.4954 [1 per cell]
O 0.4748 0.2087 0.9898 [1 per cell]
O 0.4839 0.7148 0.9892 [1 per cell]
O 0.4866 0.2074 0.4951 [1 per cell]
O 0.5949 0.8991 0.7415 [1 per cell]
O 0.5979 0.3952 0.7441 [1 per cell]
O 0.6079 0.8891 0.2422 [1 per cell]
O 0.6112 0.3867 0.2418 [1 per cell]
O 0.6305 0.7198 0.8567 [1 per cell]
O 0.6328 0.2205 0.3596 [1 per cell]
O 0.6390 0.7258 0.3773 [1 per cell]
O 0.6399 0.2159 0.8670 [1 per cell]
O 0.6662 0.9160 0.6039 [1 per cell]
O 0.6680 0.9196 0.1044 [1 per cell]
O 0.6706 0.4156 0.6085 [1 per cell]
O 0.6717 0.4120 0.1028 [1 per cell]
O 0.6767 0.1784 0.1246 [1 per cell]
O 0.6813 0.6824 0.1252 [1 per cell]
O 0.6832 0.6890 0.6344 [1 per cell]
O 0.6841 0.1862 0.6373 [1 per cell]
O 0.7260 0.0167 0.4953 [1 per cell]
O 0.7270 0.0126 0.9892 [1 per cell]
O 0.7295 0.5187 0.4949 [1 per cell]
O 0.7336 0.5076 0.9890 [1 per cell]
O 0.8474 0.5788 0.7424 [1 per cell]
O 0.8488 0.0767 0.7428 [1 per cell]
O 0.8490 0.0957 0.2424 [1 per cell]
O 0.8600 0.5901 0.2419 [1 per cell]
O 0.8778 0.8725 0.8574 [1 per cell]
O 0.8790 0.8693 0.3689 [1 per cell]
O 0.8821 0.3700 0.8563 [1 per cell]
O 0.8901 0.3866 0.3778 [1 per cell]
O 0.9155 0.9186 0.6054 [1 per cell]
O 0.9197 0.4200 0.1051 [1 per cell]
O 0.9206 0.4255 0.6061 [1 per cell]
O 0.9211 0.9238 0.1082 [1 per cell]
O 0.9276 0.1769 0.1237 [1 per cell]
O 0.9313 0.6754 0.1240 [1 per cell]
O 0.9335 0.1788 0.6347 [1 per cell]
O 0.9338 0.6817 0.6367 [1 per cell]
O 0.9735 0.2170 0.9890 [1 per cell]
O 0.9747 0.7066 0.4961 [1 per cell]
O 0.9818 0.2122 0.4956 [1 per cell]
O 0.9836 0.7183 0.9892 [1 per cell]

A plane-wave DFT calculation with PBE+U was carried out for a relaxed SrCa7Ti2Mn6O20 crystal.

Computed properties:
**V**: 488 Å³/cell
**Energy of formation**: -271.2 kJ/mol of atoms
**Electronic total energy**: -7.30 eV/atom

a b c (Å): 7.7691 7.8969 7.9629
angles (deg): 90.68 90.10 90.48
Space group P1 (No. 1)
Unique sites:
Sr 0.0000 0.0000 0.0000 [1 per cell]
Ca 0.4878 0.5055 0.0068 [1 per cell]
Ca 0.5077 0.4937 0.5851 [1 per cell]
Ca 0.5130 0.0213 0.5774 [1 per cell]
Ca 0.5199 0.0023 0.0300 [1 per cell]
Ca 0.9454 0.0084 0.5442 [1 per cell]
Ca 0.9464 0.4895 0.5797 [1 per cell]
Ca 0.9533 0.4913 0.0143 [1 per cell]
Ti 0.2242 0.2620 0.2920 [1 per cell]
Ti 0.2311 0.6904 0.2756 [1 per cell]
Mn 0.2376 0.7411 0.7571 [1 per cell]
Mn 0.2441 0.2436 0.7565 [1 per cell]
Mn 0.7168 0.7453 0.2906 [1 per cell]
Mn 0.7370 0.2458 0.8002 [1 per cell]
Mn 0.7374 0.7477 0.7844 [1 per cell]
Mn 0.7390 0.2511 0.2908 [1 per cell]
O 0.0060 0.2339 0.3605 [1 per cell]
O 0.0195 0.7701 0.2138 [1 per cell]
O 0.2076 0.9923 0.7071 [1 per cell]
O 0.2268 0.4709 0.1770 [1 per cell]
O 0.2363 0.6619 0.4986 [1 per cell]
O 0.2706 0.1072 0.1323 [1 per cell]
O 0.2768 0.4908 0.7954 [1 per cell]
O 0.3531 0.2555 0.4819 [1 per cell]
O 0.4410 0.7579 0.1937 [1 per cell]
O 0.4880 0.2140 0.8226 [1 per cell]
O 0.4892 0.7775 0.8186 [1 per cell]
O 0.6949 0.0023 0.3194 [1 per cell]
O 0.7155 0.2808 0.5414 [1 per cell]
O 0.7147 0.5068 0.8233 [1 per cell]
O 0.7197 0.4968 0.2265 [1 per cell]
O 0.7433 0.7054 0.5345 [1 per cell]
O 0.7607 0.9884 0.7676 [1 per cell]
O 0.7642 0.2098 0.0509 [1 per cell]
O 0.9869 0.7172 0.8250 [1 per cell]
O 0.9915 0.2749 0.7826 [1 per cell]

A plane-wave DFT calculation with PBE+U was carried out for a relaxed SrCa7Ti3Mn5O23 crystal.

Computed properties:
**V**: 1836 Å³/cell
**Energy of formation**: -279.8 kJ/mol of atoms
**Electronic total energy**: -7.38 eV/atom

a b c (Å): 10.8357 10.9552 15.4649
angles (deg): 90.04 90.12 90.39
Space group P1 (No. 1)
Unique sites:
Sr 0.0000 0.0000 0.0000 [1 per cell]
Sr 0.0109 0.0074 0.7350 [1 per cell]
Sr 0.2501 0.7657 0.7366 [1 per cell]
Sr 0.7411 0.2569 0.9954 [1 per cell]
Ca 0.0074 0.0346 0.2422 [1 per cell]
Ca 0.2436 0.2839 0.2400 [1 per cell]
Ca 0.2448 0.7779 0.2413 [1 per cell]
Ca 0.2512 0.7265 0.4839 [1 per cell]
Ca 0.2519 0.7321 0.9976 [1 per cell]
Ca 0.2533 0.2884 0.7472 [1 per cell]
Ca 0.2548 0.2399 0.9998 [1 per cell]
Ca 0.2597 0.2419 0.4793 [1 per cell]
Ca 0.4808 0.9846 0.0001 [1 per cell]
Ca 0.4849 0.0369 0.7328 [1 per cell]
Ca 0.4904 0.4830 0.4865 [1 per cell]
Ca 0.4918 0.4823 0.9951 [1 per cell]
Ca 0.4942 0.9885 0.4809 [1 per cell]
Ca 0.4976 0.0307 0.2410 [1 per cell]
Ca 0.4994 0.5242 0.7410 [1 per cell]
Ca 0.5014 0.5288 0.2409 [1 per cell]
Ca 0.7182 0.2959 0.7378 [1 per cell]
Ca 0.7402 0.2843 0.2411 [1 per cell]
Ca 0.7403 0.7712 0.2418 [1 per cell]
Ca 0.7418 0.7698 0.7328 [1 per cell]
Ca 0.7429 0.2459 0.4857 [1 per cell]
Ca 0.7446 0.7237 0.0030 [1 per cell]
Ca 0.7490 0.7307 0.4840 [1 per cell]
Ca 0.9916 0.4899 0.0009 [1 per cell]
Ca 0.9933 0.4883 0.4811 [1 per cell]
Ca 0.9931 0.9875 0.4866 [1 per cell]
Ca 0.9973 0.5294 0.7336 [1 per cell]
Ca 0.9976 0.5211 0.2403 [1 per cell]
Ti 0.0128 0.7433 0.8668 [1 per cell]
Ti 0.2519 0.0047 0.8703 [1 per cell]
Ti 0.2599 0.9912 0.6053 [1 per cell]
Ti 0.4969 0.7464 0.8685 [1 per cell]
Ti 0.5032 0.7460 0.6116 [1 per cell]
Ti 0.7094 0.0136 0.8601 [1 per cell]
Ti 0.7403 0.0087 0.6102 [1 per cell]
Ti 0.7487 0.0088 0.3630 [1 per cell]
Ti 0.7501 0.0071 0.1216 [1 per cell]
Ti 0.9939 0.7522 0.6092 [1 per cell]
Ti 0.9966 0.7557 0.1180 [1 per cell]
Ti 0.9974 0.7565 0.3632 [1 per cell]
Mn 0.0107 0.2767 0.8726 [1 per cell]
Mn 0.2460 0.0104 0.3635 [1 per cell]
Mn 0.2456 0.5014 0.6148 [1 per cell]
Mn 0.2476 0.0095 0.1207 [1 per cell]
Mn 0.2483 0.5042 0.8674 [1 per cell]
Mn 0.2481 0.5080 0.1170 [1 per cell]
Mn 0.2479 0.5077 0.3634 [1 per cell]
Mn 0.4902 0.2627 0.8662 [1 per cell]
Mn 0.4935 0.2581 0.1181 [1 per cell]
Mn 0.4949 0.2608 0.6137 [1 per cell]
Mn 0.4950 0.7577 0.1174 [1 per cell]
Mn 0.4960 0.7583 0.3642 [1 per cell]
Mn 0.4972 0.2596 0.3629 [1 per cell]
Mn 0.7442 0.5061 0.6125 [1 per cell]
Mn 0.7454 0.5065 0.1182 [1 per cell]
Mn 0.7455 0.5064 0.3658 [1 per cell]
Mn 0.7469 0.5094 0.8643 [1 per cell]
Mn 0.9887 0.2663 0.6023 [1 per cell]
Mn 0.9976 0.2597 0.1212 [1 per cell]
Mn 0.9989 0.2583 0.3640 [1 per cell]
O 0.0223 0.7664 0.9909 [1 per cell]
O 0.0266 0.2549 0.9948 [1 per cell]
O 0.0303 0.7648 0.4897 [1 per cell]
O 0.0444 0.2650 0.4874 [1 per cell]
O 0.0909 0.9020 0.8578 [1 per cell]
O 0.1002 0.4039 0.3440 [1 per cell]
O 0.1012 0.4049 0.1353 [1 per cell]
O 0.1011 0.4130 0.8368 [1 per cell]
O 0.1008 0.9040 0.3475 [1 per cell]
O 0.1025 0.9031 0.1351 [1 per cell]
O 0.1040 0.3840 0.6448 [1 per cell]
O 0.1080 0.8990 0.6222 [1 per cell]
O 0.1205 0.1553 0.8370 [1 per cell]
O 0.1333 0.6413 0.6317 [1 per cell]
O 0.1398 0.1530 0.1368 [1 per cell]
O 0.1414 0.6518 0.3476 [1 per cell]
O 0.1410 0.6529 0.1325 [1 per cell]
O 0.1429 0.1541 0.3409 [1 per cell]
O 0.1438 0.6505 0.8497 [1 per cell]
O 0.2054 0.0288 0.4915 [1 per cell]
O 0.2060 0.5158 0.9910 [1 per cell]
O 0.2086 0.5120 0.4894 [1 per cell]
O 0.2213 0.0218 0.9901 [1 per cell]
O 0.2639 0.0106 0.7327 [1 per cell]
O 0.2855 0.5017 0.2392 [1 per cell]
O 0.2861 0.9930 0.2423 [1 per cell]
O 0.2868 0.5042 0.7419 [1 per cell]
O 0.3398 0.3601 0.8840 [1 per cell]
O 0.3438 0.8610 0.8806 [1 per cell]
O 0.3457 0.3576 0.5955 [1 per cell]
O 0.3502 0.3647 0.0980 [1 per cell]
O 0.3499 0.8641 0.3872 [1 per cell]
O 0.3529 0.8617 0.0960 [1 per cell]
O 0.3537 0.3657 0.3820 [1 per cell]
O 0.3563 0.8610 0.5913 [1 per cell]
O 0.3879 0.1151 0.5968 [1 per cell]
O 0.3885 0.1079 0.8786 [1 per cell]
O 0.3897 0.1128 0.0992 [1 per cell]
O 0.3900 0.6129 0.5957 [1 per cell]
O 0.3910 0.1136 0.3844 [1 per cell]
O 0.3922 0.6143 0.0929 [1 per cell]
O 0.3925 0.6152 0.3873 [1 per cell]
O 0.3936 0.6112 0.8865 [1 per cell]
O 0.4566 0.7456 0.2405 [1 per cell]
O 0.4590 0.2468 0.2401 [1 per cell]
O 0.4626 0.2529 0.7405 [1 per cell]
O 0.4714 0.7454 0.7388 [1 per cell]
O 0.5174 0.2653 0.9907 [1 per cell]
O 0.5308 0.2664 0.4898 [1 per cell]
O 0.5318 0.7705 0.9910 [1 per cell]
O 0.5350 0.7700 0.4891 [1 per cell]
O 0.5847 0.9076 0.8448 [1 per cell]
O 0.5953 0.4066 0.6352 [1 per cell]
O 0.5999 0.9041 0.1313 [1 per cell]
O 0.6010 0.4013 0.1354 [1 per cell]
O 0.6011 0.4033 0.3444 [1 per cell]
O 0.6006 0.9037 0.3466 [1 per cell]
O 0.6018 0.4091 0.8465 [1 per cell]
O 0.6059 0.9043 0.6381 [1 per cell]
O 0.6368 0.1481 0.1300 [1 per cell]
O 0.6408 0.1524 0.3469 [1 per cell]
O 0.6411 0.1520 0.6371 [1 per cell]
O 0.6424 0.6549 0.1335 [1 per cell]
O 0.6419 0.6549 0.3472 [1 per cell]
O 0.6432 0.6528 0.6292 [1 per cell]
O 0.6443 0.1611 0.8441 [1 per cell]
O 0.6448 0.6592 0.8491 [1 per cell]
O 0.7063 0.5139 0.4896 [1 per cell]
O 0.7121 0.0211 0.4936 [1 per cell]
O 0.7123 0.5072 0.9911 [1 per cell]
O 0.7538 0.0085 0.9751 [1 per cell]
O 0.7823 0.5018 0.2425 [1 per cell]
O 0.7825 0.5069 0.7380 [1 per cell]
O 0.7834 0.9950 0.2414 [1 per cell]
O 0.7990 0.9849 0.7629 [1 per cell]
O 0.8407 0.3623 0.6010 [1 per cell]
O 0.8496 0.8632 0.1001 [1 per cell]
O 0.8512 0.8660 0.3864 [1 per cell]
O 0.8518 0.8653 0.5988 [1 per cell]
O 0.8528 0.3634 0.3872 [1 per cell]
O 0.8536 0.3508 0.8683 [1 per cell]
O 0.8566 0.3713 0.1020 [1 per cell]
O 0.8852 0.1188 0.1072 [1 per cell]
O 0.8873 0.6229 0.8876 [1 per cell]
O 0.8882 0.6151 0.0980 [1 per cell]
O 0.8892 0.6115 0.5942 [1 per cell]
O 0.8891 0.6148 0.3849 [1 per cell]
O 0.8908 0.1141 0.3848 [1 per cell]
O 0.9018 0.1142 0.6078 [1 per cell]
O 0.9557 0.2505 0.2427 [1 per cell]
O 0.9593 0.7486 0.2413 [1 per cell]
O 0.9624 0.7560 0.7431 [1 per cell]

A plane-wave DFT calculation with PBE+U was carried out for a relaxed SrCaTiMnO6 crystal.

Computed properties:
**V**: 230 Å³/cell
**Energy of formation**: -291.5 kJ/mol of atoms
**Electronic total energy**: -7.49 eV/atom

a b c (Å): 5.4682 5.4539 7.7036
angles (deg): 90.00 90.05 90.00
Space group P2_1 (No. 4)
Unique sites:
Sr 0.2463 0.0000 0.0005 [2 per cell]
Ca 0.2529 0.9694 0.4997 [2 per cell]
Ti 0.2481 0.4878 0.7451 [2 per cell]
Mn 0.2488 0.4878 0.2539 [2 per cell]
O 0.0165 0.7595 0.7707 [2 per cell]
O 0.0210 0.7545 0.2295 [2 per cell]
O 0.1871 0.4967 0.4972 [2 per cell]
O 0.2948 0.4859 0.0028 [2 per cell]
O 0.4767 0.2206 0.2854 [2 per cell]
O 0.4838 0.2161 0.7141 [2 per cell]

Question: What is the energy of formation in the fourth record?
Answer: -291.5 kJ/mol of atoms

Question: The lowest electronic total energy belongs to which entry?
Answer: SrCaTiMnO5